Na2Nb2O7 | PBE | relaxed

The structure in POSCAR format:
```
Na2Nb2O7
1.0
2.374 4.288 1.140
-7.756 2.304 -3.621
-7.061 3.166 13.909
Na Nb O
8 8 28
Cartesian
-3.344 4.750 2.569
-2.391 1.044 3.434
-9.121 5.004 8.903
-10.071 8.716 8.040
-6.665 4.149 1.193
-5.754 5.598 10.228
-11.225 4.149 3.539
-1.725 5.193 -0.601
-6.485 5.691 4.145
-4.938 6.170 -0.830
-5.989 4.075 7.264
-7.525 3.616 12.244
-5.892 2.355 4.239
-0.156 2.854 1.560
-6.562 7.401 7.185
-12.290 6.916 9.868
-4.877 6.679 3.768
-7.489 3.467 -0.891
-7.592 3.084 7.658
-4.973 6.310 12.320
-5.108 5.595 6.172
0.033 1.398 0.109
-7.350 4.179 5.265
-12.499 8.362 11.325
-5.184 2.710 6.055
0.117 4.282 0.210
-7.270 7.056 5.364
-12.571 5.485 11.209
-1.825 2.740 5.502
-4.219 2.492 0.336
-10.638 7.015 5.955
-8.239 7.272 11.123
-7.513 5.924 2.642
-4.418 4.873 0.372
-4.915 3.780 8.732
-7.962 4.918 11.025
-2.339 5.443 4.709
-1.924 3.026 1.914
-10.131 4.319 6.675
-10.528 6.769 9.479
-5.358 4.064 3.507
-7.001 6.076 -0.621
-7.103 5.697 7.928
-5.455 3.692 12.058
```

Computed properties:
**Energy with MP2020 corrections**: -335.0 eV per cell
**Formation energy from the elements**: -26.26 eV per formula unit
**Volume**: 15.14 A^3/atom